No. 1
The following is a PBE with a Hubbard U calculation of a relaxed Al2CrO5 crystal, from the Materials Project database.

a = 5.0583 Å, b = 7.1855 Å, c = 10.2494 Å
α = 74.62°, β = 82.80°, γ = 110.25°
Sites, in units of the cell vectors:
Al  0.4301  0.1504  0.5593
Al  0.9300  0.6504  0.5594
Al  0.2395  0.9598  0.9406
Al  0.7395  0.4599  0.9405
Al  0.7606  0.0402  0.0594
Al  0.2605  0.5403  0.0594
Al  0.5701  0.8497  0.4406
Al  0.0701  0.3496  0.4405
Cr  0.6516  0.2828  0.2498
Cr  0.3481  0.7172  0.7500
Cr  0.1518  0.7826  0.2501
Cr  0.8483  0.2172  0.7500
O  0.4806  0.0065  0.7500
O  0.9805  0.5065  0.7500
O  0.5193  0.9935  0.2500
O  0.0193  0.4934  0.2500
O  0.5131  0.4188  0.1152
O  0.0132  0.9186  0.1154
O  0.3786  0.2840  0.3847
O  0.8786  0.7839  0.3847
O  0.6214  0.7160  0.6154
O  0.1216  0.2161  0.6153
O  0.4868  0.5814  0.8847
O  0.9869  0.0813  0.8847
O  0.7533  0.1301  0.4282
O  0.2534  0.6300  0.4283
O  0.9316  0.3083  0.0718
O  0.4316  0.8083  0.0718
O  0.0684  0.6917  0.9283
O  0.5684  0.1917  0.9283
O  0.2466  0.8699  0.5718
O  0.7467  0.3699  0.5718

Output
magnetization = 0.0 μB/f.u.
energy relative to the elements = -2871.4 meV per atom
final energy = -237.69 eV for the cell shown
density = 3.776 Mg/m³

No. 2
The following is a PBE with a Hubbard U calculation of a relaxed Li2VCrO4 crystal, from the Materials Project database.

a = 5.2862 Å, b = 5.7537 Å, c = 5.2862 Å
α = 90.00°, β = 66.02°, γ = 90.00°
Sites, in units of the cell vectors:
Li  0.5000  0.2500  0.0000
Li  0.0000  0.7500  0.5000
Li  0.5000  0.0022  0.5000
Li  0.0000  0.4978  0.0000
V  0.0001  0.9977  0.9999
V  0.4999  0.5023  0.5000
Cr  0.5001  0.7500  0.0000
Cr  0.9998  0.2500  0.5000
O  0.7702  0.2500  0.2702
O  0.2698  0.7500  0.7697
O  0.2297  0.2500  0.7297
O  0.7303  0.7500  0.2303
O  0.2351  0.9998  0.2352
O  0.7352  0.5002  0.7352
O  0.2648  0.5002  0.2649
O  0.7649  0.9998  0.7648

Output
magnetization = 2.0 μB/f.u.
energy relative to the elements = -2415.2 meV per atom
final energy = -110.44 eV for the cell shown
space group = C222
maximum piezoelectric response = 2.203 C/m²
density = 4.088 Mg/m³

No. 3
The following is a PBE with a Hubbard U calculation of a relaxed CoTePb2O6 crystal, from the Materials Project database.

a = 5.7236 Å, b = 5.7236 Å, c = 5.7236 Å
α = 60.00°, β = 60.00°, γ = 60.00°
Sites, in units of the cell vectors:
Co  0.0000  0.0000  0.0000
Te  0.5000  0.5000  0.5000
Pb  0.2500  0.2500  0.2500
Pb  0.7500  0.7500  0.7500
O  0.2554  0.7446  0.2554
O  0.7446  0.2554  0.7446
O  0.2554  0.2554  0.7446
O  0.2554  0.7446  0.7446
O  0.7446  0.7446  0.2554
O  0.7446  0.2554  0.2554

Output
magnetization = 3.0 μB/f.u.
energy relative to the elements = -1357.7 meV per atom
final energy = -55.18 eV for the cell shown
space group = Fm-3m
density = 8.729 Mg/m³

Q: Look up the energy relative to the elements of the second one.
A: -2415.2 meV per atom

Q: What is the final energy in the second record?
A: -110.44 eV for the cell shown